Entry 1:
2
Lattice="1.6521 2.8601 -0.0008 -1.6521 2.8601 -0.0008 0.0000 1.9091 5.3754" Properties=species:S:1:pos:R:3 comment="Ce, optimized geometry, DFT r²SCAN" total_magnetization_mub_per_fu=0.00 dft_energy_ev_per_atom=-30.837 de_polymorph_ev_per_atom=0.004 pbc="T T T"
Ce 0.0000 2.8872 4.0308
Ce 0.0000 4.7421 1.3430

=====

Entry 2:
2
Lattice="-2.5427 -1.8727 0.1877 2.6322 -0.7426 1.5899 -1.9209 3.0707 4.6144" Properties=species:S:1:pos:R:3 comment="Ce, optimized geometry, DFT r²SCAN" total_magnetization_mub_per_fu=0.23 dft_energy_ev_per_atom=-30.732 de_polymorph_ev_per_atom=0.109 pbc="T T T"
Ce -2.2584 0.8070 4.1159
Ce 0.4270 -0.3516 2.2761

=====

Entry 3:
8
Lattice="-5.8734 4.6551 0.3892 -0.0381 -6.4217 3.8830 1.8131 2.0085 3.3394" Properties=species:S:1:pos:R:3 comment="CeCl3, optimized geometry, DFT r²SCAN" total_magnetization_mub_per_fu=1.00 dft_energy_ev_per_atom=-14.892 pbc="T T T"
Ce -1.5299 -2.2273 3.5533
Ce -2.5684 2.4692 4.0583
Cl -2.2570 -0.1218 5.4476
Cl -4.9419 0.8343 3.5644
Cl -1.8413 0.3637 2.1640
Cl 0.8436 -0.5924 4.0472
Cl -0.4566 -2.9550 6.1741
Cl -3.6417 3.1969 1.4375

=====

Entry 4:
10
Lattice="0.0000 5.9914 5.9914 5.9914 0.0000 5.9914 5.9914 5.9914 0.0000" Properties=species:S:1:pos:R:3 comment="Cs3CeCl6, optimized geometry, DFT r²SCAN" total_magnetization_mub_per_fu=1.00 dft_energy_ev_per_atom=-16.635 de_polymorph_ev_per_atom=0.077 pbc="T T T"
Cl 5.9914 5.9914 2.7405
Cl 5.9914 5.9914 9.2422
Cl 9.2422 5.9914 5.9914
Cl 2.7405 5.9914 5.9914
Cl 5.9914 9.2422 5.9914
Cl 5.9914 2.7405 5.9914
Cs 8.9870 8.9870 8.9870
Cs 5.9914 5.9914 5.9914
Cs 2.9957 2.9957 2.9957
Ce 0.0000 0.0000 0.0000

=====

Entry 5:
40
Lattice="-11.3100 0.7985 8.6887 -4.6367 -0.6299 13.4963 0.5573 12.9506 3.0742" Properties=species:S:1:pos:R:3 comment="Cs3CeCl6, optimized geometry, DFT r²SCAN" total_magnetization_mub_per_fu=1.00 dft_energy_ev_per_atom=-16.712 de_polymorph_ev_per_atom=0.000 pbc="T T T"
Cs -4.1853 1.6672 9.0197
Cs -5.2547 5.3302 12.5201
Cs -8.0831 8.7314 18.3441
Cs -10.1346 7.7891 12.7391
Cs -12.5329 3.1489 13.8020
Cs -11.2040 11.4521 16.2396
Cs -6.4064 8.6776 8.7559
Cs -8.3301 12.5234 11.6409
Cs -7.3062 4.3879 6.9151
Cs -2.8564 9.9704 11.4573
Cs -8.9829 4.4417 16.5034
Cs -7.0593 0.5958 13.6183
Cl -14.4167 9.1300 23.1686
Cl -7.3172 2.4544 10.0672
Cl -8.0722 10.6649 15.1920
Cl -4.6121 2.6362 5.6134
Cl -10.7362 7.7140 16.4274
Cl -10.3086 1.0875 15.3991
Cl -12.5031 4.3175 17.0661
Cl -10.7279 1.2974 11.2470
Cl -4.6615 11.8219 14.0122
Cl -6.7391 6.9785 15.4570
Cl -0.9726 3.9892 2.0907
Cl -2.5540 12.6051 6.6733
Cl -9.1047 4.3509 13.1119
Cl -6.2847 8.7683 12.1474
Cl -2.8863 8.8017 8.1931
Cl -15.1048 2.7423 21.3365
Cl -5.0807 12.0317 9.8601
Cl -4.6531 5.4052 8.8318
Cl -13.1248 7.1111 19.7138
Cl -10.7772 10.4831 19.6458
Cl -8.6503 6.1407 9.8022
Cl -2.2646 6.0082 5.5455
Cl -12.8353 0.5142 18.5860
Cl -0.2846 10.3769 3.9227
Ce -2.0397 6.1604 8.2853
Ce -5.6605 9.3917 14.7633
Ce -5.6550 0.3993 4.3443
Ce -9.7289 3.7276 10.4959

=====

Entry 6:
9
Lattice="4.3473 4.9969 3.5841 -7.4938 0.3876 0.6373 0.2226 -3.6733 4.8513" Properties=species:S:1:pos:R:3 comment="Cs2CeCl6, optimized geometry, DFT r²SCAN" total_magnetization_mub_per_fu=0.00 dft_energy_ev_per_atom=-15.385 pbc="T T T"
Cl -5.3402 -1.6362 4.8240
Cl -1.6135 -1.8290 4.5070
Cl 2.4163 3.3474 4.2487
Cl 0.2544 0.8624 2.4663
Cl -1.3104 3.5402 4.5657
Cl -3.1783 0.8488 6.6064
Ce 0.0000 0.0000 0.0000
Cs -3.4880 0.9536 2.9012
Cs 0.5641 0.7576 6.1715

=====

Entry 7:
32
Lattice="8.0176 0.0000 0.0000 0.0000 8.8051 0.0000 0.0000 0.0000 12.7721" Properties=species:S:1:pos:R:3 comment="K2CeCl5, optimized geometry, DFT r²SCAN" total_magnetization_mub_per_fu=1.00 dft_energy_ev_per_atom=-11.638 pbc="T T T"
Cl 3.4398 2.2013 12.6580
Cl 6.7114 4.0218 1.0483
Cl 1.3062 8.4243 11.7238
Cl 6.9259 2.2013 10.5020
Cl 5.3978 6.6038 3.7535
Cl 6.6286 6.6038 10.1396
Cl 7.4486 6.6038 6.5001
Cl 4.5778 6.6038 0.1141
Cl 5.3150 0.3808 7.4343
Cl 2.7026 8.4243 5.3377
Cl 1.3890 2.2013 2.6325
Cl 5.1005 2.2013 4.1159
Cl 6.7114 0.3808 1.0483
Cl 2.7026 4.7833 5.3377
Cl 0.5690 2.2013 6.2720
Cl 2.6198 2.2013 9.0185
Cl 5.3150 4.0218 7.4343
Cl 1.3062 4.7833 11.7238
Cl 1.0917 6.6038 2.2701
Cl 2.9171 6.6038 8.6561
K 4.3452 0.0245 10.5641
K 7.6812 4.3780 4.1780
K 0.3364 8.7806 8.5940
K 4.3452 4.3780 10.5641
K 3.6724 8.7806 2.2080
K 0.3364 4.4271 8.5940
K 7.6812 0.0245 4.1780
K 3.6724 4.4271 2.2080
Ce 7.3913 6.6038 0.0754
Ce 4.6351 6.6038 6.4614
Ce 0.6263 2.2013 12.6967
Ce 3.3825 2.2013 6.3107

=====

Entry 8:
38
Lattice="-7.6725 0.8733 -2.6139 -1.8392 -0.8486 9.4704 5.2363 9.0032 -1.7005" Properties=species:S:1:pos:R:3 comment="Ce2Te4Cl2O11, optimized geometry, DFT r²SCAN" total_magnetization_mub_per_fu=0.00 dft_energy_ev_per_atom=-14.607 pbc="T T T"
Te -2.6104 3.8168 5.2339
Te 2.2619 6.7924 -1.4258
Te -5.5986 1.9863 2.3285
Te 4.6662 8.7522 0.8277
Te 1.3233 7.0416 2.8275
Te -1.6649 5.2112 -0.0780
Te -8.9415 0.2758 4.3283
Te -6.5372 2.2355 6.5817
O -5.8474 3.5727 -1.5358
O 2.6967 7.1479 4.1698
O -5.8055 0.7656 7.5964
O -7.5524 0.8011 5.8105
O -2.1729 3.4522 -0.4810
O -0.1470 7.4116 3.8707
O -3.0847 5.5739 1.0678
O 1.3979 5.1954 3.3511
O 3.2771 8.2268 -0.6546
O -2.6751 -0.0673 8.0171
O -3.3403 7.5965 3.4420
O -1.6002 9.0952 -2.8611
O -0.9350 1.4314 1.7139
O -6.9720 1.8800 0.9861
O -2.1024 5.5757 5.6369
O -0.4245 4.7939 1.2568
O 1.5302 8.2623 -2.4404
O -4.1283 1.6164 1.2852
O 1.5721 5.4552 6.6917
O -1.1906 3.4540 4.0881
O -5.6732 3.8325 1.8048
O -3.8508 4.2340 3.8991
Ce 0.3934 3.2608 2.6370
Ce -4.6687 5.7671 2.5189
Ce -1.7703 7.7226 5.3106
Ce -2.5050 1.3053 -0.1547
Cl -3.8360 6.2658 -2.2364
Cl -0.9288 8.2433 0.6429
Cl -0.4393 2.7621 7.3923
Cl -3.3465 0.7847 4.5130

=====

Entry 9:
26
Lattice="5.0255 5.1170 -6.0363 -7.5303 -4.7161 -2.9880 -3.1095 4.2971 1.0540" Properties=species:S:1:pos:R:3 comment="Ce3WCl3O6, optimized geometry, DFT r²SCAN" total_magnetization_mub_per_fu=3.00 dft_energy_ev_per_atom=-18.368 pbc="T T T"
O -5.5842 0.0690 -2.3199
O -0.0300 4.6290 -5.6505
O -7.0129 2.0433 -1.8356
O -3.7477 1.6220 -3.2335
O -6.9854 2.6749 -4.3296
O -0.0574 3.9974 -3.1566
O 1.3986 2.6548 -6.1348
O -5.5568 0.7006 -4.8139
O -1.8664 3.0760 -4.7369
O 1.3711 2.0232 -3.6408
O -0.4379 1.1018 -5.2211
O -5.1763 3.5964 -2.7492
Cl -1.6993 2.3719 -7.7470
Cl 2.9106 4.9711 -4.7442
Cl -3.9152 2.3260 -0.2234
Cl -4.5918 3.3000 -6.1910
Cl -8.5244 -0.2728 -3.2263
Cl -1.0223 1.3980 -1.7788
W -5.6772 1.7844 -3.2136
W 0.0630 2.9137 -4.7568
Ce 0.4295 6.2977 -3.5988
Ce -2.6782 3.8059 -2.6080
Ce -2.2269 5.0829 -6.4826
Ce -3.3875 -0.3848 -1.4881
Ce -6.0434 -1.5995 -4.3714
Ce -2.9363 0.8919 -5.3623

=====

Entry 10:
32
Lattice="8.2189 0.0000 0.0000 0.0000 9.0251 0.0000 0.0000 0.0000 13.1408" Properties=species:S:1:pos:R:3 comment="Rb2CeCl5, optimized geometry, DFT r²SCAN" total_magnetization_mub_per_fu=1.00 dft_energy_ev_per_atom=-13.623 pbc="T T T"
Cl 0.9732 6.7689 2.3705
Cl 5.4720 0.3872 7.5196
Cl 7.2457 2.2563 10.7703
Cl 5.3929 6.7689 3.9393
Cl 1.3626 4.8998 12.1915
Cl 2.8260 2.2563 9.2015
Cl 0.7127 2.2563 6.4321
Cl 6.9355 6.7689 10.5096
Cl 4.8221 6.7689 0.1383
Cl 7.5062 6.7689 6.7087
Cl 6.8563 4.1254 0.9492
Cl 2.7469 8.6379 5.6212
Cl 5.4720 4.1254 7.5196
Cl 3.1362 6.7689 8.9409
Cl 5.0827 2.2563 4.1999
Cl 3.3968 2.2563 13.0025
Cl 1.3626 8.6379 12.1915
Cl 6.8563 0.3872 0.9492
Cl 1.2834 2.2563 2.6311
Cl 2.7469 4.8998 5.6212
Rb 7.7460 0.0537 4.3296
Rb 0.4729 4.5663 8.8112
Rb 7.7460 4.4589 4.3296
Rb 3.6365 4.5663 2.2408
Rb 4.5824 0.0537 10.9000
Rb 3.6365 8.9714 2.2408
Rb 4.5824 4.4589 10.9000
Rb 0.4729 8.9714 8.8112
Ce 3.5162 2.2563 6.4963
Ce 0.5933 2.2563 13.0667
Ce 4.7027 6.7689 6.6445
Ce 7.6256 6.7689 0.0741